#i
! Li6V3P8O29 PBE+U optimized geometry; values from VASP
&SYSTEM
  ibrav = 0, nat = 92, ntyp = 4
/
ATOMIC_SPECIES
O 16.00 O.upf
V 50.94 V.upf
Li 6.94 Li.upf
P 30.97 P.upf
CELL_PARAMETERS angstrom
-9.812 0.000 0.000
4.882 8.527 0.000
-0.006 -0.012 -14.010
ATOMIC_POSITIONS crystal
O 0.252 0.918 0.839
O 0.321 0.804 0.673
V 0.436 0.437 0.251
O 0.998 0.793 0.750
O 0.084 0.748 0.341
Li 0.092 0.776 0.057
O 0.999 0.758 0.929
O 0.101 0.622 0.823
P 0.685 0.917 0.840
Li 0.764 0.095 0.440
O 0.329 0.251 0.157
O 0.004 0.251 0.070
O 0.773 0.011 0.924
V 0.565 0.569 0.753
O 0.183 0.508 0.672
P 0.230 0.320 0.843
Li 0.904 0.666 0.441
Li 0.665 0.765 0.562
O 0.206 0.010 0.421
O 0.487 0.116 0.174
O 0.511 0.327 0.330
O 0.773 0.769 0.429
O 0.921 0.662 0.161
O 0.998 0.227 0.431
O 0.183 0.667 0.172
O 0.919 0.249 0.657
Li 0.035 0.985 0.510
O 0.517 0.188 0.835
O 0.745 0.087 0.160
O 0.984 0.775 0.567
O 0.888 0.376 0.177
O 0.247 0.244 0.932
O 0.470 0.384 0.670
Li 0.100 0.333 0.562
O 0.003 0.212 0.249
O 0.669 0.920 0.340
Li 0.915 0.223 0.941
O 0.818 0.335 0.828
O 0.224 0.217 0.572
O 0.678 0.338 0.978
O 0.337 0.519 0.173
O 0.621 0.090 0.668
O 0.673 0.489 0.834
O 0.789 0.991 0.744
O 0.660 0.748 0.842
P 0.087 0.314 0.343
P 0.331 0.664 0.629
O 0.526 0.909 0.823
Li 0.335 0.233 0.444
P 0.088 0.770 0.839
P 0.770 0.677 0.157
O 0.250 0.000 0.064
Li 0.667 0.327 0.112
O 0.528 0.621 0.328
Li 0.224 0.316 0.059
O 0.205 0.990 0.241
O 0.254 0.338 0.343
P 0.666 0.332 0.372
O 0.486 0.675 0.670
O 0.908 0.530 0.667
O 0.378 0.480 0.824
O 0.325 0.649 0.523
O 0.384 0.924 0.336
O 0.332 0.664 0.025
P 0.332 0.667 0.131
Li 0.777 0.697 0.938
O 0.475 0.816 0.178
O 0.741 0.662 0.665
O 0.791 0.788 0.247
P 0.687 0.773 0.340
P 0.772 0.085 0.655
O 0.674 0.188 0.329
O 0.627 0.510 0.176
V 0.564 0.999 0.249
O 0.087 0.470 0.329
P 0.225 0.918 0.341
O 0.209 0.209 0.752
V 0.000 0.436 0.748
P 0.668 0.335 0.871
Li 0.318 0.089 0.934
P 0.318 0.229 0.661
O 0.810 0.488 0.333
P 0.909 0.231 0.159
V 0.432 0.996 0.747
V 0.001 0.567 0.254
P 0.319 0.089 0.155
O 0.345 0.088 0.666
O 0.661 0.329 0.478
O 0.775 0.998 0.565
O 0.082 0.335 0.844
O 0.758 0.748 0.066
P 0.910 0.686 0.658
! crystal system = triclinic
! total magnetic moment = 6.00 μB/cell

---

#ii
! Li6V3P8O29 PBE+U optimized geometry; values from VASP
&SYSTEM
  ibrav = 0, nat = 92, ntyp = 4
/
ATOMIC_SPECIES
O 16.00 O.upf
P 30.97 P.upf
V 50.94 V.upf
Li 6.94 Li.upf
CELL_PARAMETERS angstrom
8.641 3.764 -2.633
-3.807 -7.479 -5.056
-6.656 8.992 -8.394
ATOMIC_POSITIONS crystal
O 0.813 0.488 0.172
O 0.536 0.919 0.663
P 0.689 0.912 0.655
O 0.780 0.987 0.565
P 0.917 0.220 0.342
O 0.997 0.793 0.752
V 0.560 0.560 0.750
Li 0.666 0.906 0.440
Li 0.917 0.684 0.059
O 0.897 0.525 0.835
O 0.769 0.771 0.430
Li 0.094 0.768 0.445
O 0.619 0.528 0.326
P 0.220 0.918 0.160
Li 0.761 0.667 0.562
P 0.774 0.686 0.342
O 0.662 0.917 0.157
O 0.084 0.339 0.662
Li 0.667 0.766 0.939
O 0.992 0.780 0.934
O 0.671 0.342 0.021
P 0.082 0.774 0.659
O 0.185 0.526 0.825
P 0.316 0.220 0.843
O 0.473 0.093 0.329
O 0.917 0.377 0.332
O 0.479 0.372 0.831
P 0.220 0.308 0.660
O 0.078 0.458 0.164
V 0.001 0.558 0.249
P 0.683 0.770 0.157
P 0.781 0.091 0.839
O 0.084 0.620 0.668
V 0.437 0.996 0.750
O 0.342 0.816 0.821
O 0.337 0.254 0.343
O 0.210 0.013 0.079
O 0.997 0.201 0.070
P 0.667 0.335 0.128
O 0.380 0.462 0.668
O 0.744 0.080 0.337
O 0.659 0.742 0.661
O 0.672 0.488 0.673
V 0.000 0.436 0.750
O 0.775 0.997 0.928
O 0.630 0.105 0.829
O 0.513 0.324 0.167
O 0.525 0.619 0.172
Li 0.329 0.240 0.061
P 0.334 0.667 0.369
O 0.993 0.779 0.571
O 0.187 0.673 0.324
Li 0.048 0.030 0.986
O 0.345 0.080 0.839
O 0.486 0.810 0.327
O 0.483 0.664 0.829
O 0.084 0.746 0.158
O 0.923 0.256 0.840
O 0.809 0.332 0.679
V 0.564 0.001 0.246
O 0.213 0.214 0.572
O 0.199 0.991 0.259
V 0.432 0.433 0.251
O 0.767 0.768 0.068
O 0.344 0.675 0.976
P 0.665 0.334 0.631
O 0.000 0.199 0.249
Li 0.334 0.097 0.565
P 0.081 0.303 0.155
O 0.235 0.003 0.437
P 0.316 0.087 0.346
O 0.917 0.661 0.343
O 0.797 0.000 0.748
O 0.206 0.203 0.753
O 0.679 0.189 0.164
O 0.740 0.664 0.842
O 0.381 0.923 0.170
O 0.321 0.509 0.331
Li 0.987 0.044 0.516
O 0.233 0.218 0.933
O 0.004 0.207 0.427
O 0.512 0.187 0.671
Li 0.770 0.090 0.057
P 0.909 0.689 0.845
P 0.334 0.667 0.870
Li 0.232 0.334 0.444
O 0.663 0.340 0.524
O 0.250 0.918 0.659
O 0.329 0.667 0.475
O 0.794 0.794 0.249
Li 0.671 0.331 0.885
O 0.255 0.338 0.160
! crystal system = triclinic
! total magnetic moment = 6.01 μB/cell

---

Most stable pick: #i. Distance to second place: 6 meV per atom.